[1]
An optimized crystal structure of Li2FeWO6, computed with GGA+U. Values from VASP.

Quantum ESPRESSO input file:
```
&SYSTEM
  ibrav = 0, nat = 10, ntyp = 4
/
ATOMIC_SPECIES
Li 6.94 Li.upf
O 16.00 O.upf
Fe 55.84 Fe.upf
W 183.84 W.upf
CELL_PARAMETERS angstrom
0.004 2.867 -4.205
-5.423 -0.008 0.000
-2.402 4.517 0.042
ATOMIC_POSITIONS crystal
Li 0.790 0.368 0.422
Li 0.290 0.875 0.419
O 0.373 0.230 0.493
O 0.237 0.725 0.144
O 0.613 0.716 0.521
O 0.869 0.723 0.898
O 0.126 0.223 0.149
O 0.729 0.227 0.899
Fe 0.006 0.011 0.990
W 0.504 0.510 0.993
```

## Properties
magnetization: 0.4000 μB/atom
E_form: -1.99 eV/atom
electronic total energy: -6.40 eV per atom

[2]
An optimized crystal structure of Li4Fe3WO8, computed with GGA+U. Values from VASP.

Quantum ESPRESSO input file:
```
&SYSTEM
  ibrav = 0, nat = 16, ntyp = 4
/
ATOMIC_SPECIES
O 16.00 O.upf
W 183.84 W.upf
Li 6.94 Li.upf
Fe 55.84 Fe.upf
CELL_PARAMETERS angstrom
5.213 -3.091 0.000
5.213 3.091 0.000
3.380 0.000 5.031
ATOMIC_POSITIONS crystal
O 0.736 0.736 0.736
O 0.264 0.264 0.264
O 0.772 0.217 0.772
O 0.228 0.228 0.783
O 0.228 0.783 0.228
O 0.217 0.772 0.772
O 0.772 0.772 0.217
O 0.783 0.228 0.228
W 0.000 0.000 0.000
Li 0.000 0.500 0.000
Li 0.000 0.000 0.500
Li 0.500 0.500 0.500
Li 0.500 0.000 0.000
Fe 0.500 0.500 0.000
Fe 0.000 0.500 0.500
Fe 0.500 0.000 0.500
```

## Properties
magnetization: 0.7500 μB/atom
E_form: -1.99 eV/atom
electronic total energy: -6.29 eV per atom

[3]
An optimized crystal structure of Li9Fe3W7O28, computed with GGA+U. Values from VASP.

Quantum ESPRESSO input file:
```
&SYSTEM
  ibrav = 0, nat = 47, ntyp = 4
/
ATOMIC_SPECIES
O 16.00 O.upf
Li 6.94 Li.upf
W 183.84 W.upf
Fe 55.84 Fe.upf
CELL_PARAMETERS angstrom
-8.377 1.406 -0.961
-0.172 -5.573 -6.480
-1.673 -6.347 5.477
ATOMIC_POSITIONS crystal
O 0.121 0.879 0.378
O 0.378 0.877 0.126
O 0.378 0.126 0.877
O 0.618 0.852 0.382
O 0.614 0.146 0.615
O 0.621 0.123 0.123
O 0.614 0.615 0.146
O 0.386 0.862 0.614
O 0.874 0.622 0.877
O 0.391 0.609 0.385
O 0.148 0.382 0.382
O 0.874 0.877 0.622
O 0.391 0.385 0.609
O 0.121 0.378 0.879
O 0.854 0.615 0.386
O 0.385 0.146 0.386
O 0.123 0.622 0.126
O 0.123 0.126 0.622
O 0.854 0.386 0.615
O 0.877 0.123 0.379
O 0.877 0.379 0.123
O 0.615 0.609 0.609
O 0.618 0.382 0.852
O 0.622 0.879 0.879
O 0.385 0.386 0.146
O 0.138 0.614 0.614
O 0.386 0.614 0.862
O 0.608 0.392 0.392
Li 0.357 0.360 0.902
Li 0.640 0.902 0.643
Li 0.098 0.360 0.643
Li 0.904 0.354 0.354
Li 0.357 0.902 0.360
Li 0.640 0.643 0.902
Li 0.646 0.096 0.354
Li 0.646 0.354 0.096
Li 0.098 0.643 0.360
W 0.999 0.001 0.499
W 0.999 0.499 0.001
W 0.501 0.001 0.001
W 0.358 0.359 0.359
W 0.355 0.645 0.645
W 0.641 0.642 0.359
W 0.641 0.359 0.642
Fe 0.363 0.100 0.637
Fe 0.900 0.637 0.637
Fe 0.363 0.637 0.100
```

## Properties
magnetization: 0.2766 μB/atom
E_form: -2.15 eV/atom
electronic total energy: -6.72 eV per atom

[4]
An optimized crystal structure of Li3Zn2Fe19O32, computed with GGA+U. Values from VASP.

Quantum ESPRESSO input file:
```
&SYSTEM
  ibrav = 0, nat = 56, ntyp = 4
/
ATOMIC_SPECIES
O 16.00 O.upf
Fe 55.84 Fe.upf
Li 6.94 Li.upf
Zn 65.41 Zn.upf
CELL_PARAMETERS angstrom
-4.528 0.915 -3.890
-0.686 -3.662 -4.753
-13.338 -12.676 7.867
ATOMIC_POSITIONS crystal
O 0.161 0.639 0.037
O 0.312 0.766 0.153
O 0.136 0.666 0.532
O 0.908 0.389 0.781
O 0.409 0.409 0.792
O 0.416 0.888 0.283
O 0.527 0.527 0.903
O 0.534 0.044 0.905
O 0.154 0.154 0.539
O 0.666 0.136 0.532
O 0.282 0.282 0.152
O 0.268 0.811 0.653
O 0.888 0.416 0.283
O 0.533 0.533 0.401
O 0.018 0.018 0.403
O 0.811 0.268 0.653
O 0.915 0.915 0.783
O 0.417 0.417 0.283
O 0.389 0.908 0.781
O 0.783 0.783 0.649
O 0.766 0.312 0.153
O 0.639 0.161 0.037
O 0.019 0.561 0.403
O 0.561 0.019 0.403
O 0.655 0.655 0.036
O 0.766 0.766 0.153
O 0.904 0.904 0.289
O 0.028 0.028 0.902
O 0.665 0.665 0.532
O 0.269 0.269 0.653
O 0.044 0.534 0.905
O 0.161 0.161 0.036
Fe 0.974 0.974 0.595
Fe 0.724 0.724 0.345
Fe 0.974 0.458 0.594
Fe 0.096 0.096 0.716
Fe 0.209 0.725 0.345
Fe 0.458 0.974 0.594
Fe 0.748 0.748 0.748
Fe 0.845 0.845 0.466
Fe 0.469 0.963 0.095
Fe 0.691 0.691 0.936
Fe 0.470 0.470 0.095
Fe 0.594 0.594 0.216
Fe 0.725 0.209 0.345
Fe 0.222 0.713 0.843
Fe 0.713 0.222 0.843
Fe 0.251 0.251 0.252
Fe 0.998 0.998 0.001
Fe 0.500 0.500 0.500
Fe 0.963 0.469 0.095
Li 0.438 0.438 0.689
Li 0.188 0.188 0.438
Li 0.937 0.937 0.187
Zn 0.342 0.342 0.969
Zn 0.221 0.221 0.843
```

## Properties
magnetization: 1.6964 μB/atom
E_form: -1.70 eV/atom
electronic total energy: -6.39 eV per atom
excess energy over the best structure of this formula in the dataset: 0 meV/atom